1.
The following is a DFT calculation (PBE) of a relaxed structure of CsSiSbO5.

magnetic moment = 0.1 μB/cell
E = -6.490 eV/atom

Cell: 19.9493 10.3140 10.3113 Å, 90.00 90.00 90.00°
With the nearest neighbours (Å) after each atom.
Space group Ama2 (No. 40)
One atom of each set of equivalent atoms:
Cs: 0.0000 0.0000 0.0000 [4 per cell]  6 O 3.10-3.18
Cs: 0.1135 0.2504 0.2493 [8 per cell]  5 O 2.89-3.21
Cs: 0.2500 0.0260 0.5012 [4 per cell]  2 O 2.88
Si: 0.1694 0.1127 0.8875 [8 per cell]  4 O 1.63-1.65
Si: 0.1693 0.3878 0.6124 [8 per cell]  4 O 1.63-1.65
Sb: 0.0658 0.1241 0.6242 [8 per cell]  6 O 1.96-2.05
Sb: 0.0660 0.3759 0.8759 [8 per cell]  6 O 1.96-2.05
O: 0.0000 0.0000 0.3008 [4 per cell]  2 Sb 1.99
O: 0.0000 0.0000 0.6995 [4 per cell]  2 Sb 1.99
O: 0.0000 0.1994 0.5000 [8 per cell]  2 Sb 1.99
O: 0.0312 0.2502 0.7499 [8 per cell]  2 Sb 1.96
O: 0.1062 0.0001 0.5001 [8 per cell]  2 Sb 1.98
O: 0.1359 0.0580 0.7534 [8 per cell]  1 Si 1.64
O: 0.1356 0.2462 0.9422 [8 per cell]  1 Si 1.63
O: 0.1360 0.2537 0.5578 [8 per cell]  1 Si 1.64
O: 0.1358 0.4425 0.7462 [8 per cell]  1 Si 1.63
O: 0.1596 0.0001 0.9999 [8 per cell]  2 Si 1.65
O: 0.2500 0.1330 0.8662 [4 per cell]  2 Si 1.64
O: 0.2500 0.3661 0.6327 [4 per cell]  2 Si 1.64

2.
The following is a DFT calculation (PBE) of a relaxed structure of Ca2Ti2O5.

magnetic moment = 0.0 μB/cell
E = -7.842 eV/atom
E above lowest polymorph = 0.0124 eV/atom

Cell: 5.3514 10.5766 3.9431 Å, 90.00 90.00 90.00°
With the nearest neighbours (Å) after each atom.
Space group Pbam (No. 55)
One atom of each set of equivalent atoms:
Ca: 0.2337 0.1172 0.0000 [4 per cell]  6 O 2.37-2.64
Ti: 0.2238 0.3724 0.5000 [4 per cell]  5 O 1.92-2.00
O: 0.0000 0.0000 0.5000 [2 per cell]  2 Ti 2.00
O: 0.1062 0.7123 0.5000 [4 per cell]  2 Ti 1.92-1.98
O: 0.2044 0.3877 0.0000 [4 per cell]  2 Ti 1.98

Which value of E does entry 1 give?
-6.490 eV/atom